! HoFeO3, optimized geometry, DFT PBE with a Hubbard U; values from VASP
&SYSTEM
  ibrav = 0, nat = 20, ntyp = 3
/
ATOMIC_SPECIES
Ho 164.93 Ho.upf
Fe 55.84 Fe.upf
O 16.00 O.upf
CELL_PARAMETERS angstrom
5.639 0.000 0.000
0.000 7.701 0.000
0.000 0.000 5.313
ATOMIC_POSITIONS angstrom
Ho 0.393 1.925 0.105
Ho 2.426 5.775 2.761
Ho 3.213 1.925 2.552
Ho 5.246 5.775 5.208
Fe 0.000 0.000 2.656
Fe 0.000 3.850 2.656
Fe 2.820 0.000 0.000
Fe 2.820 3.850 0.000
O 0.255 5.775 2.022
O 1.090 4.320 4.301
O 1.090 7.231 4.301
O 1.730 0.470 1.645
O 1.730 3.380 1.645
O 2.564 1.925 4.678
O 3.075 5.775 0.635
O 3.909 4.320 3.668
O 3.909 7.231 3.668
O 4.549 0.470 1.012
O 4.549 3.380 1.012
O 5.384 1.925 3.291
! Theoretical density = 7.738 Mg/m³
! Crystal system = orthorhombic
! Energy of formation = -2.858 eV/atom